(1)
V7S8 | PBE-GGA | relaxed

- V: 213 Å³ per cell
- VASP energy: -110.3 eV per cell
- Total magnetic moment: 0.90 μB per formula unit
- Distance to the lowest polymorph of the same formula: 2 kJ/mol of formula units

Lattice parameters (Å, degrees): 6.391 6.391 8.179 54.14 54.14 59.99
Positions (direct):
1 V 0.000 0.500 0.000
2 V 0.500 0.000 0.000
3 V 0.751 0.249 0.500
4 V 0.000 0.000 0.000
5 V 0.747 0.747 0.506
6 V 0.249 0.751 0.500
7 V 0.253 0.253 0.494
8 S 0.952 0.459 0.754
9 S 0.542 0.542 0.245
10 S 0.048 0.541 0.246
11 S 0.459 0.952 0.754
12 S 0.458 0.458 0.755
13 S 0.960 0.960 0.748
14 S 0.541 0.048 0.246
15 S 0.040 0.040 0.252

***

(2)
TmCu | PBE-GGA | relaxed

- V: 40 Å³ per cell
- VASP energy: -9.2 eV per cell

Lattice parameters (Å, degrees): 3.415 3.415 3.415 90.00 90.00 90.00
Positions (direct):
1 Tm 0.500 0.500 0.500
2 Cu 0.000 0.000 0.000

***

Question: What is the formula in the second record?
Answer: TmCu

***

What did the second record say?
TmCu | PBE-GGA | relaxed

- V: 40 Å³ per cell
- VASP energy: -9.2 eV per cell

Lattice parameters (Å, degrees): 3.415 3.415 3.415 90.00 90.00 90.00
Positions (direct):
1 Tm 0.500 0.500 0.500
2 Cu 0.000 0.000 0.000